a | CaW2O4 | PBE+U | optimized geometry

Geometry as POSCAR:
```
CaW2O4
1.0
-3.349 3.349 4.590
3.349 -3.349 4.590
3.349 3.349 -4.590
Ca W O
2 4 8
Cartesian
3.349 1.675 1.147 Ca
0.000 1.675 3.442 Ca
0.000 0.000 0.000 W
1.675 1.675 -2.295 W
1.675 -1.675 2.295 W
0.000 3.349 0.000 W
3.349 3.106 -2.387 O
3.349 -0.244 2.387 O
1.431 1.675 -0.092 O
1.918 -1.675 4.497 O
1.431 5.024 0.092 O
1.918 1.675 4.682 O
0.000 3.593 2.203 O
0.000 0.244 6.977 O
```

Properties
calculated volume = 205.9 Å³/cell
space group = I4_1/amd (141)

b | CaW2O4 | PBE+U | optimized geometry

Geometry as POSCAR:
```
CaW2O4
1.0
6.639 0.000 0.000
-3.297 5.804 0.000
-0.261 -0.304 16.101
Ca W O
6 12 24
Cartesian
0.000 0.000 0.000 Ca
-0.093 0.031 4.007 Ca
-0.243 3.940 9.384 Ca
3.058 1.647 14.578 Ca
3.236 2.010 4.655 Ca
6.319 -0.030 10.086 Ca
-1.693 2.903 1.992 W
-0.305 1.709 12.761 W
-1.909 4.582 12.765 W
-0.243 3.579 15.427 W
1.403 1.078 7.415 W
0.141 4.319 5.347 W
1.640 2.900 1.956 W
3.282 0.013 1.987 W
2.638 1.882 10.728 W
1.403 4.612 12.719 W
3.098 3.980 7.332 W
4.779 1.109 7.416 W
-0.238 0.137 6.290 O
-1.718 2.798 14.037 O
-0.333 1.811 8.531 O
-2.049 5.019 8.520 O
-1.450 4.702 0.756 O
0.034 2.189 0.787 O
1.336 0.655 11.678 O
-0.266 3.632 11.685 O
0.029 3.826 3.114 O
1.702 1.156 3.024 O
-0.249 5.249 14.058 O
1.201 2.784 13.990 O
1.563 2.842 6.052 O
3.106 0.292 6.285 O
1.481 4.667 0.804 O
3.281 1.940 0.862 O
3.122 2.095 8.498 O
1.530 5.097 8.422 O
3.181 3.709 3.042 O
4.755 0.703 11.662 O
4.782 1.076 3.131 O
3.118 3.880 11.439 O
4.618 2.796 6.277 O
6.354 -0.231 13.845 O
```

Properties
calculated volume = 620.3 Å³/cell
space group = P1 (1)

The winner here is a, beating the second structure by 10.0 kJ/mol of atoms.

a | ZnNi4O8 | PBE+U | optimized geometry

Geometry as POSCAR:
```
ZnNi4O8
1.0
-1.936 -4.736 2.523
4.895 -0.149 3.479
-3.401 4.587 6.001
O Ni Zn
16 8 2
Cartesian
0.841 -1.287 4.680 O
-2.750 3.173 7.322 O
3.200 -1.287 3.517 O
2.307 -3.471 4.680 O
-1.916 -1.287 6.039 O
-0.873 1.265 4.680 O
2.948 -1.457 5.978 O
-2.169 -1.457 8.500 O
0.431 -1.563 7.323 O
1.474 0.989 5.963 O
-4.275 -1.287 7.202 O
1.727 1.159 3.502 O
-3.390 1.159 6.025 O
-3.642 0.989 8.485 O
-1.283 0.989 7.323 O
3.833 0.990 4.800 O
3.927 -2.517 4.740 Ni
0.747 2.219 4.740 Ni
-1.811 2.219 6.001 Ni
-0.221 -0.149 6.001 Ni
1.369 -2.517 6.001 Ni
2.337 -0.149 4.740 Ni
4.895 -0.149 3.479 Ni
-2.779 -0.149 7.262 Ni
1.479 -2.442 3.001 Zn
-3.637 -2.443 5.523 Zn
```

Properties
calculated volume = 283.2 Å³/cell

b | ZnNi4O8 | PBE+U | optimized geometry

Geometry as POSCAR:
```
ZnNi4O8
1.0
6.779 -1.457 0.000
6.779 1.457 0.000
-6.095 0.000 6.948
Zn Ni O
1 4 8
Cartesian
0.000 0.000 0.000 Zn
2.609 0.000 0.174 Ni
2.895 0.000 4.574 Ni
7.374 0.000 2.617 Ni
11.630 0.000 2.183 Ni
-2.848 0.000 5.285 O
-0.403 0.000 3.386 O
1.423 0.000 1.725 O
3.990 0.000 3.055 O
5.968 0.000 1.229 O
1.979 0.000 6.294 O
10.485 0.000 0.705 O
8.565 0.000 4.068 O
```

Properties
calculated volume = 137.3 Å³/cell
space group = Cm (8)

The winner here is a, beating the second structure by 11.1 kJ/mol of atoms.